The following is a DFT calculation (PBE) of a geometry-optimized Mg2GeS4 structure.

energy of formation: -123 kJ per mole of atoms

Cell: 12.9308 7.5219 6.0596 Å, 90.00 90.00 90.00°
Closest atoms and distances in Å follow each position.
Space group Pnma (No. 62)
Symmetry-distinct sites (fractional):
Mg 0.0000 0.0000 0.0000 [4 per cell]  6 S 2.59-2.64
Mg 0.2306 0.2500 0.4972 [4 per cell]  6 S 2.58-2.67
Ge 0.0894 0.7500 0.4138 [4 per cell]  4 S 2.21-2.25
S 0.0684 0.2500 0.7447 [4 per cell]  1 Ge 2.25
S 0.0930 0.7500 0.7787 [4 per cell]  1 Ge 2.21
S 0.1671 0.5179 0.2488 [8 per cell]  1 Ge 2.25



The following is a DFT calculation (PBE) of a geometry-optimized Rb2SbCl6 structure.

energy of formation: -169 kJ per mole of atoms

Cell: 10.4843 10.4843 10.4843 Å, 90.00 90.00 90.00°
Closest atoms and distances in Å follow each position.
Space group Fm-3m (No. 225)
Symmetry-distinct sites (fractional):
Rb 0.2500 0.2500 0.2500 [8 per cell]  12 Cl 3.71
Sb 0.0000 0.0000 0.0000 [4 per cell]  6 Cl 2.54
Cl 0.0000 0.0000 0.2421 [24 per cell]  1 Sb 2.54